## Na2Mg3H10S3O18 (PBE-GGA)

Data for a relaxed Na2Mg3H10S3O18 crystal.

Final energy: -0.20380 hartree per atom

Cell lengths 10.8515, 10.8515, 10.0957 Å; angles 90.00, 90.00, 39.47 degrees
With the nearest neighbours (Å) after each atom.
Fractional positions:
1 Na 0.1886 0.2335 0.0000  3 O 2.36-2.55
2 Na 0.2335 0.1886 0.5000  3 O 2.36-2.55
3 Na 0.7665 0.8114 0.0000  3 O 2.36-2.55
4 Na 0.8114 0.7665 0.5000  3 O 2.36-2.55
5 Mg 0.2218 0.7782 0.2751  5 O 2.01-2.16
6 Mg 0.3564 0.4863 0.9906  6 O 2.08-2.20
7 Mg 0.4863 0.3564 0.4906  6 O 2.08-2.20
8 Mg 0.5137 0.6436 0.9906  6 O 2.08-2.20
9 Mg 0.6436 0.5137 0.4906  6 O 2.08-2.20
10 Mg 0.7782 0.2218 0.7751  5 O 2.01-2.16
11 H 0.0029 0.1647 0.4020  1 O 0.98
12 H 0.0493 0.6724 0.8304  1 O 1.01
13 H 0.0619 0.5172 0.7114  1 O 0.99
14 H 0.1383 0.5873 0.6495  1 O 0.99
15 H 0.1647 0.0029 0.9020  1 O 0.98
16 H 0.1819 0.8181 0.0382  1 O 0.98
17 H 0.3276 0.9507 0.8304  1 O 1.01
18 H 0.4127 0.8617 0.6495  1 O 0.99
19 H 0.4376 0.5624 0.7797  1 O 0.98
20 H 0.4828 0.9381 0.7114  1 O 0.99
21 H 0.5172 0.0619 0.2114  1 O 0.99
22 H 0.5624 0.4376 0.2797  1 O 0.98
23 H 0.5873 0.1383 0.1495  1 O 0.99
24 H 0.6724 0.0493 0.3304  1 O 1.01
25 H 0.8181 0.1819 0.5382  1 O 0.98
26 H 0.8353 0.9971 0.4020  1 O 0.98
27 H 0.8617 0.4127 0.1495  1 O 0.99
28 H 0.9381 0.4828 0.2114  1 O 0.99
29 H 0.9507 0.3276 0.3304  1 O 1.01
30 H 0.9971 0.8353 0.9020  1 O 0.98
31 S 0.1548 0.5345 0.2707  4 O 1.48-1.50
32 S 0.1949 0.8051 0.5881  4 O 1.47-1.50
33 S 0.4655 0.8452 0.2707  4 O 1.48-1.50
34 S 0.5345 0.1548 0.7707  4 O 1.48-1.50
35 S 0.8051 0.1949 0.0881  4 O 1.47-1.50
36 S 0.8452 0.4655 0.7707  4 O 1.48-1.50
37 O 0.0187 0.4106 0.7913  1 S 1.49
38 O 0.0232 0.6301 0.6813  2 H 0.99
39 O 0.0592 0.7075 0.9190  2 H 0.98-1.01
40 O 0.0742 0.9258 0.7039  1 S 1.47
41 O 0.0826 0.9174 0.4636  1 S 1.50
42 O 0.0920 0.7130 0.2802  1 S 1.48
43 O 0.2436 0.4420 0.1380  1 S 1.50
44 O 0.2585 0.6241 0.5897  1 S 1.50
45 O 0.2870 0.9080 0.2802  1 S 1.48
46 O 0.2925 0.9408 0.9190  2 H 0.98-1.01
47 O 0.2994 0.3938 0.3772  1 S 1.50
48 O 0.3025 0.6975 0.0805  1 H 0.98
49 O 0.3699 0.9768 0.6813  2 H 0.99
50 O 0.3759 0.7415 0.5897  1 S 1.50
51 O 0.3938 0.2994 0.8772  1 S 1.50
52 O 0.4106 0.0187 0.2913  1 S 1.49
53 O 0.4420 0.2436 0.6380  1 S 1.50
54 O 0.4854 0.5146 0.3587  1 H 0.98
55 O 0.5146 0.4854 0.8587  1 H 0.98
56 O 0.5580 0.7564 0.1380  1 S 1.50
57 O 0.5894 0.9813 0.7913  1 S 1.49
58 O 0.6062 0.7006 0.3772  1 S 1.50
59 O 0.6241 0.2585 0.0897  1 S 1.50
60 O 0.6301 0.0232 0.1813  2 H 0.99
61 O 0.6975 0.3025 0.5805  1 H 0.98
62 O 0.7006 0.6062 0.8772  1 S 1.50
63 O 0.7075 0.0592 0.4190  2 H 0.98-1.01
64 O 0.7130 0.0920 0.7802  1 S 1.48
65 O 0.7415 0.3759 0.0897  1 S 1.50
66 O 0.7564 0.5580 0.6380  1 S 1.50
67 O 0.9080 0.2870 0.7802  1 S 1.48
68 O 0.9174 0.0826 0.9636  1 S 1.50
69 O 0.9258 0.0742 0.2039  1 S 1.47
70 O 0.9408 0.2925 0.4190  2 H 0.98-1.01
71 O 0.9768 0.3699 0.1813  2 H 0.99
72 O 0.9813 0.5894 0.2913  1 S 1.49

=====

## Al5Cu3O12 (PBE-GGA)

Data for a relaxed Al5Cu3O12 crystal.

Final energy: -0.23670 hartree per atom
Energy relative to the lowest polymorph listed for this composition: 0.0 meV/atom

Cell lengths 5.7606, 5.7606, 14.1493 Å; angles 90.22, 90.22, 60.08 degrees
With the nearest neighbours (Å) after each atom.
Fractional positions:
1 Al 0.0000 0.0000 0.0000  6 O 1.87-1.97
2 Al 0.0063 0.5031 0.5004  6 O 1.86-2.04
3 Al 0.1685 0.1685 0.8305  6 O 1.85-1.95
4 Al 0.1685 0.6758 0.8301  6 O 1.86-1.96
5 Al 0.3330 0.3330 0.2886  4 O 1.80-1.84
6 Al 0.3377 0.8377 0.1664  6 O 1.88-1.98
7 Al 0.5031 0.0063 0.5004  6 O 1.86-2.04
8 Al 0.5030 0.5030 0.4994  6 O 1.87-2.01
9 Al 0.6758 0.1685 0.8301  6 O 1.86-1.96
10 Al 0.8377 0.3377 0.1664  6 O 1.88-1.98
11 Cu 0.0019 0.0019 0.3684  4 O 1.86-1.98
12 Cu 0.3374 0.3374 0.6615  6 O 1.93-2.01
13 Cu 0.3389 0.3389 0.0432  4 O 1.89-2.03
14 Cu 0.6708 0.6708 0.7040  4 O 1.95-1.96
15 Cu 0.6725 0.6725 0.9639  4 O 1.86-1.99
16 Cu 0.6747 0.6747 0.3317  6 O 1.98-2.11
17 O 0.0042 0.0042 0.7686  3 Al 1.85-1.86
18 O 0.0159 0.0159 0.2370  1 Cu 1.86, 2 Al 1.90
19 O 0.0354 0.4881 0.7547  2 Al 1.93, 2 Cu 1.95-2.01
20 O 0.1535 0.1535 0.0850  3 Al 1.94-1.96, 1 Cu 1.94
21 O 0.1775 0.7024 0.0792  2 Al 1.87-1.92, 1 Cu 1.89
22 O 0.1910 0.1910 0.5720  2 Al 1.87, 1 Cu 1.93
23 O 0.1923 0.6292 0.5723  2 Al 1.86-1.87, 1 Cu 1.93
24 O 0.3033 0.8554 0.9109  3 Al 1.94-1.97, 1 Cu 1.99
25 O 0.3376 0.3376 0.8996  3 Al 1.95-1.96, 1 Cu 2.03
26 O 0.3389 0.3389 0.4167  2 Al 1.81-2.01
27 O 0.3682 0.8231 0.4223  2 Al 1.93-1.94, 2 Cu 1.98-2.00
28 O 0.4851 0.9911 0.2486  2 Al 1.80-1.89, 1 Cu 1.98
29 O 0.4881 0.0354 0.7547  2 Al 1.93, 2 Cu 1.95-2.01
30 O 0.4886 0.4886 0.7547  2 Al 1.93, 2 Cu 1.96-2.00
31 O 0.5050 0.5050 0.2425  3 Al 1.84-1.98
32 O 0.6292 0.1923 0.5723  2 Al 1.86-1.87, 1 Cu 1.93
33 O 0.6537 0.6537 0.0947  1 Cu 1.86, 2 Al 1.88
34 O 0.6708 0.6708 0.5660  3 Al 1.92, 1 Cu 1.95
35 O 0.7024 0.1775 0.0792  2 Al 1.87-1.92, 1 Cu 1.89
36 O 0.8231 0.3682 0.4223  2 Al 1.93-1.94, 2 Cu 1.98-2.00
37 O 0.8269 0.8269 0.4257  2 Cu 1.93-2.01, 2 Al 1.94
38 O 0.8531 0.8531 0.9103  3 Al 1.93-1.95, 1 Cu 1.96
39 O 0.8554 0.3033 0.9109  3 Al 1.94-1.97, 1 Cu 1.99
40 O 0.9911 0.4851 0.2486  2 Al 1.80-1.89, 1 Cu 1.98

=====

## CeSe2 (PBE-GGA)

Data for a relaxed CeSe2 crystal.

Final energy: -0.21407 hartree per atom

Cell lengths 13.5586, 4.3361, 7.0756 Å; angles 90.00, 90.00, 90.00 degrees
With the nearest neighbours (Å) after each atom.
Fractional positions:
1 Ce 0.1343 0.2500 0.0506  6 Se 2.86-2.87
2 Ce 0.3657 0.7500 0.5506  6 Se 2.86-2.87
3 Ce 0.6343 0.2500 0.4494  6 Se 2.86-2.87
4 Ce 0.8657 0.7500 0.9494  6 Se 2.86-2.87
5 Se 0.0250 0.7500 0.2149  3 Ce 2.86-2.87
6 Se 0.2343 0.7500 0.8694  3 Ce 2.86-2.87
7 Se 0.2657 0.2500 0.3694  3 Ce 2.86-2.87
8 Se 0.4750 0.2500 0.7149  3 Ce 2.86-2.87
9 Se 0.5250 0.7500 0.2851  3 Ce 2.86-2.87
10 Se 0.7343 0.7500 0.6306  3 Ce 2.86-2.87
11 Se 0.7657 0.2500 0.1306  3 Ce 2.86-2.87
12 Se 0.9750 0.2500 0.7851  3 Ce 2.86-2.87